# K2RbNdBr6

A geometry-optimized K2RbNdBr6 structure (PBE-GGA, the Materials Project database).

Output
Crystal system ... cubic
Volume ... 462.4 Å³/f.u.
Space group ... No. 225
Uncorrected energy ... -3.515 eV/atom

Unit cell a=8.680 b=8.680 c=8.680 alpha=60.00 beta=60.00 gamma=60.00
Element x y z (fractional)
Br: 0.235 0.235 0.765
Br: 0.765 0.235 0.235
Br: 0.765 0.765 0.235
Br: 0.765 0.235 0.765
Br: 0.235 0.765 0.235
Br: 0.235 0.765 0.765
K: 0.750 0.750 0.750
K: 0.250 0.250 0.250
Rb: 0.500 0.500 0.500
Nd: 0.000 0.000 0.000

=====

# K4Br2O

A geometry-optimized K4Br2O structure (PBE-GGA, the Materials Project database).

Output
Crystal system ... tetragonal
Volume ... 229.7 Å³/f.u.
Space group ... No. 139
Uncorrected energy ... -3.270 eV/atom

Unit cell a=5.235 b=5.235 c=9.161 alpha=106.60 beta=106.60 gamma=90.00
Element x y z (fractional)
K: 0.155 0.155 0.309
K: 0.845 0.845 0.691
K: 0.500 0.000 0.000
K: 0.000 0.500 0.000
Br: 0.354 0.354 0.709
Br: 0.646 0.646 0.291
O: 0.000 0.000 0.000

=====

# KBrO4

A geometry-optimized KBrO4 structure (PBE-GGA, the Materials Project database).

Output
Crystal system ... orthorhombic
Volume ... 107.3 Å³/f.u.
Space group ... No. 62
Uncorrected energy ... -4.140 eV/atom

Unit cell a=6.076 b=7.700 c=9.178 alpha=90.00 beta=90.00 gamma=90.00
Element x y z (fractional)
K: 0.750 0.837 0.822
K: 0.250 0.163 0.178
K: 0.250 0.337 0.678
K: 0.750 0.663 0.322
O: 0.529 0.309 0.419
O: 0.750 0.079 0.586
O: 0.750 0.047 0.292
O: 0.750 0.453 0.792
O: 0.250 0.547 0.208
O: 0.471 0.691 0.581
O: 0.971 0.309 0.419
O: 0.250 0.921 0.414
O: 0.529 0.191 0.919
O: 0.250 0.579 0.914
O: 0.029 0.691 0.581
O: 0.029 0.809 0.081
O: 0.971 0.191 0.919
O: 0.750 0.421 0.086
O: 0.250 0.953 0.708
O: 0.471 0.809 0.081
Br: 0.750 0.184 0.430
Br: 0.250 0.816 0.570
Br: 0.750 0.316 0.930
Br: 0.250 0.684 0.070

=====

# KPbBr3O

A geometry-optimized KPbBr3O structure (PBE-GGA, the Materials Project database).

Output
Crystal system ... orthorhombic
Volume ... 203.5 Å³/f.u.
Space group ... No. 36
Uncorrected energy ... -3.332 eV/atom

Unit cell a=10.113 b=10.113 c=8.827 alpha=90.00 beta=90.00 gamma=153.20
Element x y z (fractional)
Br: 0.960 0.040 0.163
Br: 0.724 0.276 0.714
Br: 0.040 0.960 0.663
Br: 0.276 0.724 0.214
Br: 0.392 0.608 0.845
Br: 0.608 0.392 0.345
K: 0.428 0.572 0.481
K: 0.572 0.428 0.981
Pb: 0.177 0.823 0.498
Pb: 0.823 0.177 0.998
O: 0.061 0.939 0.863
O: 0.939 0.061 0.363

=====

# K2PtBr4O2

A geometry-optimized K2PtBr4O2 structure (PBE-GGA, the Materials Project database).

Output
Crystal system ... orthorhombic
Volume ... 252.3 Å³/f.u.
Space group ... No. 55
Uncorrected energy ... -3.148 eV/atom

Unit cell a=4.525 b=9.034 c=12.344 alpha=90.00 beta=90.00 gamma=90.00
Element x y z (fractional)
K: 0.500 0.674 0.820
K: 0.500 0.326 0.180
K: 0.500 0.826 0.320
K: 0.500 0.174 0.680
Br: 0.000 0.457 0.695
Br: 0.000 0.543 0.305
Br: 0.000 0.767 0.530
Br: 0.000 0.733 0.030
Br: 0.000 0.043 0.195
Br: 0.000 0.233 0.470
Br: 0.000 0.267 0.970
Br: 0.000 0.957 0.805
O: 0.500 0.863 0.644
O: 0.500 0.363 0.856
O: 0.500 0.137 0.356
O: 0.500 0.637 0.144
Pt: 0.000 0.500 0.500
Pt: 0.000 0.000 0.000

=====

# K8Rh3Br18O10

A geometry-optimized K8Rh3Br18O10 structure (PBE-GGA, the Materials Project database).

Output
Crystal system ... orthorhombic
Excess energy over the best structure of this formula in the dataset ... 14.3 kJ per mole of atoms
Volume ... 1191.1 Å³/f.u.
Space group ... No. 55
Uncorrected energy ... -3.455 eV/atom

Unit cell a=9.669 b=15.337 c=16.065 alpha=90.00 beta=90.00 gamma=90.00
Element x y z (fractional)
K: 0.736 0.788 0.924
K: 0.746 0.914 0.187
K: 0.254 0.586 0.687
K: 0.264 0.788 0.924
K: 0.254 0.086 0.813
K: 0.254 0.914 0.187
K: 0.264 0.288 0.576
K: 0.736 0.288 0.576
K: 0.264 0.212 0.076
K: 0.746 0.414 0.313
K: 0.736 0.212 0.076
K: 0.746 0.586 0.687
K: 0.736 0.712 0.424
K: 0.264 0.712 0.424
K: 0.746 0.086 0.813
K: 0.254 0.414 0.313
Br: 0.500 0.094 0.436
Br: 0.239 0.307 0.808
Br: 0.500 0.074 0.207
Br: 0.262 0.000 0.000
Br: 0.000 0.846 0.055
Br: 0.000 0.154 0.945
Br: 0.000 0.061 0.146
Br: 0.738 0.000 0.000
Br: 0.500 0.816 0.080
Br: 0.500 0.406 0.936
Br: 0.000 0.439 0.646
Br: 0.500 0.191 0.697
Br: 0.761 0.807 0.692
Br: 0.761 0.307 0.808
Br: 0.000 0.939 0.854
Br: 0.000 0.346 0.445
Br: 0.239 0.693 0.192
Br: 0.000 0.654 0.555
Br: 0.500 0.809 0.303
Br: 0.500 0.594 0.064
Br: 0.500 0.316 0.420
Br: 0.239 0.807 0.692
Br: 0.500 0.691 0.803
Br: 0.500 0.574 0.293
Br: 0.761 0.693 0.192
Br: 0.500 0.184 0.920
Br: 0.738 0.500 0.500
Br: 0.500 0.309 0.197
Br: 0.500 0.926 0.793
Br: 0.761 0.193 0.308
Br: 0.500 0.684 0.580
Br: 0.500 0.426 0.707
Br: 0.262 0.500 0.500
Br: 0.500 0.906 0.564
Br: 0.239 0.193 0.308
Br: 0.000 0.561 0.354
Rh: 0.000 0.500 0.500
Rh: 0.500 0.305 0.814
Rh: 0.500 0.695 0.186
Rh: 0.500 0.805 0.686
Rh: 0.000 0.000 0.000
Rh: 0.500 0.195 0.314
O: 0.358 0.382 0.993
O: 0.358 0.882 0.507
O: 0.000 0.848 0.328
O: 0.075 0.574 0.855
O: 0.642 0.618 0.007
O: 0.075 0.426 0.145
O: 0.075 0.074 0.645
O: 0.000 0.348 0.172
O: 0.925 0.926 0.355
O: 0.358 0.618 0.007
O: 0.925 0.574 0.855
O: 0.642 0.118 0.493
O: 0.000 0.152 0.672
O: 0.000 0.652 0.828
O: 0.642 0.882 0.507
O: 0.925 0.426 0.145
O: 0.925 0.074 0.645
O: 0.075 0.926 0.355
O: 0.358 0.118 0.493
O: 0.642 0.382 0.993

=====

# K8Rh3Br18O10

A geometry-optimized K8Rh3Br18O10 structure (PBE-GGA, the Materials Project database).

Output
Crystal system ... orthorhombic
Excess energy over the best structure of this formula in the dataset ... 0.0 kJ per mole of atoms
Volume ... 1232.6 Å³/f.u.
Space group ... No. 55
Uncorrected energy ... -3.562 eV/atom

Unit cell a=9.896 b=15.471 c=16.102 alpha=90.00 beta=90.00 gamma=90.00
Element x y z (fractional)
K: 0.752 0.201 0.089
K: 0.738 0.590 0.684
K: 0.262 0.410 0.316
K: 0.738 0.090 0.816
K: 0.248 0.299 0.589
K: 0.248 0.799 0.911
K: 0.752 0.299 0.589
K: 0.248 0.201 0.089
K: 0.752 0.799 0.911
K: 0.248 0.701 0.411
K: 0.262 0.910 0.184
K: 0.262 0.090 0.816
K: 0.738 0.910 0.184
K: 0.738 0.410 0.316
K: 0.752 0.701 0.411
K: 0.262 0.590 0.684
Br: 0.500 0.426 0.692
Br: 0.000 0.443 0.647
Br: 0.246 0.684 0.193
Br: 0.754 0.184 0.307
Br: 0.745 0.500 0.500
Br: 0.754 0.816 0.693
Br: 0.000 0.348 0.444
Br: 0.000 0.557 0.353
Br: 0.754 0.316 0.807
Br: 0.500 0.803 0.296
Br: 0.246 0.316 0.807
Br: 0.500 0.074 0.192
Br: 0.745 0.000 0.000
Br: 0.500 0.303 0.204
Br: 0.500 0.926 0.808
Br: 0.500 0.065 0.414
Br: 0.255 0.500 0.500
Br: 0.000 0.848 0.056
Br: 0.246 0.184 0.307
Br: 0.000 0.652 0.556
Br: 0.500 0.935 0.586
Br: 0.500 0.707 0.573
Br: 0.754 0.684 0.193
Br: 0.246 0.816 0.693
Br: 0.500 0.207 0.927
Br: 0.500 0.565 0.086
Br: 0.000 0.943 0.853
Br: 0.500 0.574 0.308
Br: 0.500 0.435 0.914
Br: 0.000 0.152 0.944
Br: 0.500 0.793 0.073
Br: 0.000 0.057 0.147
Br: 0.500 0.293 0.427
Br: 0.500 0.197 0.704
Br: 0.500 0.697 0.796
Br: 0.255 0.000 0.000
O: 0.133 0.414 0.122
O: 0.867 0.086 0.622
O: 0.133 0.586 0.878
O: 0.867 0.914 0.378
O: 0.198 0.896 0.443
O: 0.000 0.351 0.136
O: 0.198 0.396 0.057
O: 0.198 0.104 0.557
O: 0.802 0.104 0.557
O: 0.867 0.586 0.878
O: 0.000 0.649 0.864
O: 0.802 0.396 0.057
O: 0.000 0.851 0.364
O: 0.802 0.604 0.943
O: 0.133 0.086 0.622
O: 0.000 0.149 0.636
O: 0.198 0.604 0.943
O: 0.133 0.914 0.378
O: 0.802 0.896 0.443
O: 0.867 0.414 0.122
Rh: 0.500 0.181 0.312
Rh: 0.500 0.681 0.188
Rh: 0.500 0.819 0.688
Rh: 0.000 0.500 0.500
Rh: 0.000 0.000 0.000
Rh: 0.500 0.319 0.812

=====

# K3Sn2S3BrO3

A geometry-optimized K3Sn2S3BrO3 structure (PBE-GGA, the Materials Project database).

Output
Crystal system ... monoclinic
Volume ... 299.5 Å³/f.u.
Space group ... No. 4
Uncorrected energy ... -4.266 eV/atom

Unit cell a=7.317 b=9.542 c=9.788 alpha=61.24 beta=90.00 gamma=90.00
Element x y z (fractional)
S: 0.232 0.537 0.063
S: 0.721 0.624 0.454
S: 0.698 0.910 0.641
S: 0.732 0.463 0.937
S: 0.198 0.090 0.359
S: 0.221 0.376 0.546
K: 0.272 0.986 0.741
K: 0.051 0.658 0.668
K: 0.273 0.744 0.276
K: 0.773 0.256 0.724
K: 0.551 0.342 0.332
K: 0.772 0.014 0.259
O: 0.919 0.393 0.907
O: 0.384 0.134 0.243
O: 0.419 0.607 0.093
O: 0.884 0.866 0.757
O: 0.912 0.718 0.400
O: 0.412 0.282 0.600
Sn: 0.268 0.268 0.008
Sn: 0.048 0.353 0.328
Sn: 0.768 0.732 0.992
Sn: 0.548 0.647 0.672
Br: 0.534 0.000 0.994
Br: 0.034 0.000 0.006

=====

| no. | energy of formation from the pure elements (meV/atom) |
| --- | --- |
| 1 | -2055.8 |
| 2 | -1558.6 |
| 3 | -841.4 |
| 4 | -1000.0 |
| 5 | -552.0 |
| 6 | -636.8 |
| 7 | -785.2 |
| 8 | -1084.7 |